{
  "formula": "Mn2SnC9ClO9",
  "functional": "PBE with a Hubbard U",
  "state": "optimized geometry",
  "cell": [[-5.0274, -0.3738, 11.3883], [-7.9434, -1.4320, -3.5537], [-3.8968, -14.9449, -2.2108]],
  "species": ["C", "C", "C", "C", "C", "C", "C", "C", "C", "C", "C", "C", "C", "C", "C", "C", "C", "C", "C", "C", "C", "C", "C", "C", "C", "C", "C", "C", "C", "C", "C", "C", "C", "C", "C", "C", "O", "O", "O", "O", "O", "O", "O", "O", "O", "O", "O", "O", "O", "O", "O", "O", "O", "O", "O", "O", "O", "O", "O", "O", "O", "O", "O", "O", "O", "O", "O", "O", "O", "O", "O", "O", "Mn", "Mn", "Mn", "Mn", "Mn", "Mn", "Mn", "Mn", "Cl", "Cl", "Cl", "Cl", "Sn", "Sn", "Sn", "Sn"],
  "frac_coords": [[0.7167, 0.5435, 0.6653], [0.9823, 0.1723, 0.0863], [0.9556, 0.2684, 0.8723], [0.4556, 0.7316, 0.6277], [0.8710, 0.0641, 0.8163], [0.4121, 0.4767, 0.9026], [0.8940, 0.8496, 0.4744], [0.2563, 0.3659, 0.5206], [0.3645, 0.2403, 0.8415], [0.5177, 0.1723, 0.5863], [0.6355, 0.7597, 0.1585], [0.7563, 0.6341, 0.9794], [0.0177, 0.8277, 0.9137], [0.2437, 0.3659, 0.0206], [0.3940, 0.1504, 0.0256], [0.7833, 0.5435, 0.1653], [0.3710, 0.9359, 0.6837], [0.8645, 0.7597, 0.6585], [0.1355, 0.2403, 0.3415], [0.0879, 0.4767, 0.4026], [0.5821, 0.8743, 0.7055], [0.1060, 0.1504, 0.5256], [0.6290, 0.0641, 0.3163], [0.2833, 0.4565, 0.3347], [0.1290, 0.9359, 0.1837], [0.4823, 0.8277, 0.4137], [0.9179, 0.8743, 0.2055], [0.9121, 0.5233, 0.5974], [0.0821, 0.1257, 0.7945], [0.2167, 0.4565, 0.8347], [0.6060, 0.8496, 0.9744], [0.7437, 0.6341, 0.4794], [0.5444, 0.2684, 0.3723], [0.5879, 0.5233, 0.0974], [0.4179, 0.1257, 0.2945], [0.0444, 0.7316, 0.1277], [0.4471, 0.0518, 0.0840], [0.5387, 0.3063, 0.5775], [0.0529, 0.0518, 0.5840], [0.3003, 0.9146, 0.7370], [0.2956, 0.3983, 0.5774], [0.3382, 0.5472, 0.2744], [0.6618, 0.4528, 0.7256], [0.6997, 0.0854, 0.2630], [0.9613, 0.3063, 0.0775], [0.6010, 0.7992, 0.2142], [0.3600, 0.1765, 0.2289], [0.0387, 0.6937, 0.9225], [0.9471, 0.9482, 0.4160], [0.9364, 0.4082, 0.8532], [0.7044, 0.6017, 0.4226], [0.4364, 0.5918, 0.6468], [0.6400, 0.8235, 0.7711], [0.1997, 0.9146, 0.2370], [0.4613, 0.6937, 0.4225], [0.8990, 0.7992, 0.7142], [0.5232, 0.4204, 0.1133], [0.3990, 0.2008, 0.7858], [0.0232, 0.5796, 0.3867], [0.8382, 0.4528, 0.2256], [0.5529, 0.9482, 0.9160], [0.1618, 0.5472, 0.7744], [0.0636, 0.5918, 0.1468], [0.4768, 0.5796, 0.8867], [0.1010, 0.2008, 0.2858], [0.2044, 0.3983, 0.0774], [0.8003, 0.0854, 0.7630], [0.7956, 0.6017, 0.9226], [0.8600, 0.8235, 0.2711], [0.5636, 0.4082, 0.3532], [0.1400, 0.1765, 0.7289], [0.9768, 0.4204, 0.6133], [0.5143, 0.0496, 0.3909], [0.8104, 0.6867, 0.5705], [0.0143, 0.9504, 0.1091], [0.1896, 0.3133, 0.4295], [0.6896, 0.6867, 0.0705], [0.9857, 0.0496, 0.8909], [0.4857, 0.9504, 0.6091], [0.3104, 0.3133, 0.9295], [0.7204, 0.1754, 0.0053], [0.7796, 0.1754, 0.5053], [0.2796, 0.8246, 0.9947], [0.2204, 0.8246, 0.4947], [0.8319, 0.9375, 0.0224], [0.6681, 0.9375, 0.5224], [0.3319, 0.0625, 0.4776], [0.1681, 0.0625, 0.9776]],
  "crystal_system": "monoclinic",
  "delta_e_f_ev_per_atom": -0.765,
  "energy_corrected_mp2020_ev_per_cell": -674.39,
  "space_group": "P2_1/c"
}